# 1
This record from Materials Project describes crystalline Fe3OF7 at its relaxed geometry. The functional is GGA+U.

## Properties
energy: -5.384 eV per atom
energy of formation from the pure elements: -2378 meV per atom
offset from the most stable computed form: 0.0000 eV per atom

Lattice parameters (Å, degrees): 6.108 6.108 10.514 106.68 106.68 57.00
Positions (direct):
1 Fe 0.000 0.000 0.000
2 Fe 0.000 0.000 0.500
3 Fe 0.000 0.484 0.503
4 Fe 0.281 0.723 0.763
5 Fe 0.484 0.000 0.003
6 Fe 0.723 0.281 0.263
7 O 0.068 0.151 0.386
8 O 0.151 0.068 0.886
9 F 0.099 0.638 0.404
10 F 0.129 0.652 0.879
11 F 0.330 0.857 0.631
12 F 0.331 0.400 0.635
13 F 0.356 0.887 0.112
14 F 0.400 0.331 0.135
15 F 0.616 0.641 0.883
16 F 0.638 0.099 0.904
17 F 0.641 0.616 0.383
18 F 0.652 0.129 0.379
19 F 0.854 0.905 0.123
20 F 0.857 0.330 0.131
21 F 0.887 0.356 0.612
22 F 0.905 0.854 0.623

=====

# 2
This record from Materials Project describes crystalline Fe4O7F at its relaxed geometry. The functional is GGA+U.

## Properties
energy: -6.143 eV per atom
energy of formation from the pure elements: -1465 meV per atom
offset from the most stable computed form: 0.0000 eV per atom

Lattice parameters (Å, degrees): 5.543 5.543 8.942 95.19 95.19 71.09
Positions (direct):
1 Fe 0.000 0.000 0.000
2 Fe 0.130 0.130 0.623
3 Fe 0.234 0.234 0.255
4 Fe 0.363 0.363 0.887
5 Fe 0.500 0.500 0.500
6 Fe 0.637 0.637 0.113
7 Fe 0.766 0.766 0.745
8 Fe 0.870 0.870 0.377
9 O 0.016 0.016 0.215
10 O 0.060 0.448 0.750
11 O 0.193 0.807 0.500
12 O 0.211 0.211 0.033
13 O 0.281 0.281 0.470
14 O 0.313 0.687 0.000
15 O 0.448 0.060 0.750
16 O 0.552 0.940 0.250
17 O 0.687 0.313 0.000
18 O 0.719 0.719 0.530
19 O 0.789 0.789 0.967
20 O 0.807 0.193 0.500
21 O 0.940 0.552 0.250
22 O 0.984 0.984 0.785
23 F 0.473 0.473 0.273
24 F 0.527 0.527 0.727

=====

# 3
This record from Materials Project describes crystalline Fe4O7F at its relaxed geometry. The functional is GGA+U.

## Properties
energy: -6.133 eV per atom
energy of formation from the pure elements: -1455 meV per atom
offset from the most stable computed form: 0.0094 eV per atom

Lattice parameters (Å, degrees): 7.196 7.196 5.519 108.16 108.16 80.10
Positions (direct):
1 Fe 0.119 0.881 0.500
2 Fe 0.123 0.373 0.480
3 Fe 0.373 0.123 0.980
4 Fe 0.381 0.621 0.966
5 Fe 0.621 0.381 0.466
6 Fe 0.622 0.864 0.476
7 Fe 0.864 0.622 0.976
8 Fe 0.881 0.119 0.000
9 O 0.052 0.105 0.345
10 O 0.105 0.052 0.845
11 O 0.198 0.643 0.633
12 O 0.294 0.358 0.824
13 O 0.358 0.294 0.324
14 O 0.394 0.952 0.639
15 O 0.450 0.888 0.128
16 O 0.537 0.601 0.309
17 O 0.601 0.537 0.809
18 O 0.643 0.198 0.133
19 O 0.798 0.855 0.826
20 O 0.855 0.798 0.326
21 O 0.888 0.450 0.628
22 O 0.952 0.394 0.139
23 F 0.146 0.701 0.132
24 F 0.701 0.146 0.632

=====

# 4
This record from Materials Project describes crystalline Fe4O7F at its relaxed geometry. The functional is GGA+U.

## Properties
energy: -6.130 eV per atom
energy of formation from the pure elements: -1452 meV per atom
offset from the most stable computed form: 0.0124 eV per atom

Lattice parameters (Å, degrees): 7.330 7.330 6.442 90.00 90.00 131.54
Positions (direct):
1 Fe 0.120 0.880 0.750
2 Fe 0.123 0.363 0.750
3 Fe 0.363 0.123 0.250
4 Fe 0.375 0.625 0.250
5 Fe 0.625 0.375 0.750
6 Fe 0.637 0.877 0.750
7 Fe 0.877 0.637 0.250
8 Fe 0.880 0.120 0.250
9 O 0.027 0.973 0.250
10 O 0.127 0.379 0.057
11 O 0.127 0.379 0.443
12 O 0.218 0.782 0.250
13 O 0.379 0.127 0.557
14 O 0.379 0.127 0.943
15 O 0.468 0.532 0.750
16 O 0.532 0.468 0.250
17 O 0.621 0.873 0.057
18 O 0.621 0.873 0.443
19 O 0.782 0.218 0.750
20 O 0.873 0.621 0.557
21 O 0.873 0.621 0.943
22 O 0.973 0.027 0.750
23 F 0.277 0.723 0.750
24 F 0.723 0.277 0.250

=====

Q: Look up the offset from the most stable computed form of the third one.
A: 0.0094 eV per atom

=====

Q: offset from the most stable computed form of number 1 (Fe3OF7)?
A: 0.0000 eV per atom

=====

Q: Which formula does entry 1 have?
A: Fe3OF7